# Nb2Tl3CuSe12

A geometry-optimized Nb2Tl3CuSe12 structure (PBE, Materials Project).

a = 13.762 Å, b = 9.833 Å, c = 17.326 Å
α = 61.40°, β = 90.00°, γ = 90.00°
Sites, in units of the cell vectors:
Se: 0.091 0.395 0.437
Nb: 0.224 0.785 0.221
Se: 0.769 0.867 0.073
Se: 0.568 0.083 0.341
Nb: 0.722 0.592 0.583
Se: 0.356 0.995 0.133
Nb: 0.222 0.408 0.917
Se: 0.894 0.363 0.177
Se: 0.731 0.867 0.573
Se: 0.070 0.391 0.831
Tl: 0.920 0.243 0.999
Cu: 0.312 0.107 0.572
Se: 0.276 0.670 0.121
Se: 0.724 0.330 0.879
Se: 0.792 0.070 0.199
Tl: 0.123 0.332 0.643
Se: 0.821 0.493 0.751
Se: 0.208 0.930 0.801
Se: 0.856 0.005 0.367
Se: 0.160 0.357 0.063
Se: 0.570 0.609 0.669
Nb: 0.724 0.215 0.279
Tl: 0.080 0.757 0.001
Nb: 0.776 0.215 0.779
Se: 0.679 0.493 0.251
Se: 0.386 0.007 0.986
Se: 0.430 0.391 0.331
Se: 0.644 0.005 0.867
Tl: 0.377 0.332 0.143
Tl: 0.408 0.102 0.765
Se: 0.660 0.643 0.437
Cu: 0.688 0.893 0.428
Se: 0.114 0.007 0.486
Se: 0.909 0.605 0.563
Nb: 0.278 0.408 0.417
Se: 0.409 0.395 0.937
Tl: 0.908 0.898 0.735
Se: 0.106 0.637 0.823
Se: 0.394 0.637 0.323
Se: 0.321 0.507 0.749
Se: 0.591 0.605 0.063
Cu: 0.188 0.107 0.072
Se: 0.840 0.643 0.937
Se: 0.932 0.083 0.841
Se: 0.835 0.352 0.607
Tl: 0.592 0.898 0.235
Se: 0.340 0.357 0.563
Tl: 0.623 0.668 0.857
Se: 0.335 0.648 0.893
Tl: 0.877 0.668 0.357
Se: 0.292 0.930 0.301
Se: 0.930 0.609 0.169
Se: 0.886 0.993 0.514
Se: 0.269 0.133 0.427
Nb: 0.778 0.592 0.083
Se: 0.614 0.993 0.014
Se: 0.776 0.330 0.379
Se: 0.665 0.352 0.107
Se: 0.231 0.133 0.927
Tl: 0.420 0.757 0.501
Tl: 0.580 0.243 0.499
Se: 0.068 0.917 0.159
Se: 0.432 0.917 0.659
Se: 0.144 0.995 0.633
Se: 0.179 0.507 0.249
Se: 0.224 0.670 0.621
Cu: 0.812 0.893 0.928
Se: 0.708 0.070 0.699
Nb: 0.276 0.785 0.721
Se: 0.165 0.648 0.393
Tl: 0.092 0.102 0.265
Se: 0.606 0.363 0.677

ΔE_f ... -0.771 eV/atom
Symmetry ... P2_1/c



# CdPbS2

A geometry-optimized CdPbS2 structure (PBE, Materials Project).

a = 4.092 Å, b = 4.092 Å, c = 5.794 Å
α = 90.00°, β = 90.00°, γ = 90.00°
Sites, in units of the cell vectors:
Pb: 0.500 0.500 0.500
S: 0.000 0.000 0.500
S: 0.500 0.500 0.000
Cd: 0.000 0.000 0.000

ΔE_f ... -0.703 eV/atom
Symmetry ... P4/mmm



# K2LiGaAs2

A geometry-optimized K2LiGaAs2 structure (PBE, Materials Project).

a = 10.008 Å, b = 10.008 Å, c = 6.285 Å
α = 90.00°, β = 90.00°, γ = 102.05°
Sites, in units of the cell vectors:
As: 0.407 0.593 0.713
Ga: 0.632 0.632 0.500
K: 0.078 0.422 0.750
Ga: 0.132 0.132 0.000
As: 0.093 0.907 0.213
K: 0.422 0.078 0.250
As: 0.593 0.407 0.287
K: 0.578 0.922 0.750
As: 0.907 0.093 0.787
K: 0.171 0.829 0.720
Ga: 0.368 0.368 0.500
As: 0.843 0.657 0.750
K: 0.329 0.671 0.220
Li: 0.120 0.120 0.500
K: 0.922 0.578 0.250
As: 0.157 0.343 0.250
Ga: 0.868 0.868 0.000
As: 0.657 0.843 0.250
K: 0.671 0.329 0.780
Li: 0.620 0.620 0.000
As: 0.343 0.157 0.750
Li: 0.380 0.380 0.000
Li: 0.880 0.880 0.500
K: 0.829 0.171 0.280

ΔE_f ... -0.584 eV/atom
Symmetry ... Cmce



It is found that the uncorrected energy values, taken in the order of the records, are -4.5304 -3.6783 -3.3299 eV per atom.
It is found that the M_tot values, taken in the order of the records, are 0.0 0.0 0.0 μB per cell.